(1)
{"formula": "KMg14Nb", "functional": "PBE-GGA", "state": "relaxed", "crystal_system": "hexagonal", "relative_energy_mev_per_atom": 0, "ef_kj_per_mol_fu": 281, "spacegroup": "P-6m2 (187)", "cell": [[6.5314, 0.0000, 0.0000], [-3.2657, 5.6564, 0.0000], [0.0000, 0.0000, 10.2064]], "species": ["K", "Mg", "Mg", "Mg", "Mg", "Mg", "Mg", "Mg", "Mg", "Mg", "Mg", "Mg", "Mg", "Mg", "Mg", "Nb"], "fractional_positions": [[0.0000, 0.0000, 0.0000], [0.0068, 0.5034, 0.0000], [0.1666, 0.3332, 0.2654], [0.1666, 0.3332, 0.7346], [0.1666, 0.8334, 0.2654], [0.1666, 0.8334, 0.7346], [0.4966, 0.5034, 0.0000], [0.4966, 0.9932, 0.0000], [0.5004, 0.0008, 0.5000], [0.5004, 0.4996, 0.5000], [0.6667, 0.3333, 0.2471], [0.6667, 0.3333, 0.7529], [0.6668, 0.8334, 0.2654], [0.6668, 0.8334, 0.7346], [0.9992, 0.4996, 0.5000], [0.0000, 0.0000, 0.5000]]}


(2)
{"formula": "Ni2Mo3N", "functional": "PBE-GGA", "state": "relaxed", "crystal_system": "cubic", "relative_energy_mev_per_atom": 0, "ef_kj_per_mol_fu": -184, "spacegroup": "P4_132 (213)", "corrected_energy_ev_per_cell": -217.4, "cell": [[6.6601, 0.0000, 0.0000], [0.0000, 6.6601, 0.0000], [0.0000, 0.0000, 6.6601]], "species": ["Ni", "Ni", "Ni", "Ni", "Ni", "Ni", "Ni", "Ni", "Mo", "Mo", "Mo", "Mo", "Mo", "Mo", "Mo", "Mo", "Mo", "Mo", "Mo", "Mo", "N", "N", "N", "N"], "fractional_positions": [[0.0664, 0.0664, 0.0664], [0.1836, 0.8164, 0.3164], [0.3164, 0.1836, 0.8164], [0.4336, 0.9336, 0.5664], [0.5664, 0.4336, 0.9336], [0.6836, 0.6836, 0.6836], [0.8164, 0.3164, 0.1836], [0.9336, 0.5664, 0.4336], [0.0493, 0.8750, 0.7007], [0.1250, 0.2007, 0.4507], [0.2007, 0.4507, 0.1250], [0.2993, 0.5493, 0.6250], [0.3750, 0.7993, 0.9507], [0.4507, 0.1250, 0.2007], [0.5493, 0.6250, 0.2993], [0.6250, 0.2993, 0.5493], [0.7007, 0.0493, 0.8750], [0.7993, 0.9507, 0.3750], [0.8750, 0.7007, 0.0493], [0.9507, 0.3750, 0.7993], [0.1250, 0.6250, 0.8750], [0.3750, 0.3750, 0.3750], [0.6250, 0.8750, 0.1250], [0.8750, 0.1250, 0.6250]]}


Repeat the first record exactly.
{"formula": "KMg14Nb", "functional": "PBE-GGA", "state": "relaxed", "crystal_system": "hexagonal", "relative_energy_mev_per_atom": 0, "ef_kj_per_mol_fu": 281, "spacegroup": "P-6m2 (187)", "cell": [[6.5314, 0.0000, 0.0000], [-3.2657, 5.6564, 0.0000], [0.0000, 0.0000, 10.2064]], "species": ["K", "Mg", "Mg", "Mg", "Mg", "Mg", "Mg", "Mg", "Mg", "Mg", "Mg", "Mg", "Mg", "Mg", "Mg", "Nb"], "fractional_positions": [[0.0000, 0.0000, 0.0000], [0.0068, 0.5034, 0.0000], [0.1666, 0.3332, 0.2654], [0.1666, 0.3332, 0.7346], [0.1666, 0.8334, 0.2654], [0.1666, 0.8334, 0.7346], [0.4966, 0.5034, 0.0000], [0.4966, 0.9932, 0.0000], [0.5004, 0.0008, 0.5000], [0.5004, 0.4996, 0.5000], [0.6667, 0.3333, 0.2471], [0.6667, 0.3333, 0.7529], [0.6668, 0.8334, 0.2654], [0.6668, 0.8334, 0.7346], [0.9992, 0.4996, 0.5000], [0.0000, 0.0000, 0.5000]]}